[1]
Density functional theory data (GGA+U) for crystalline LiMnPH2O5 at its relaxed geometry.

Output
The calculation puts the energy of formation at -21.8 eV per formula unit. As for the distance to the lowest polymorph of the same formula: 22.3 meV/atom. For the total magnetic moment, the calculation gives 40.00 μB/cell.

a = 8.243 Å, b = 10.519 Å, c = 10.701 Å
α = 95.65°, β = 107.90°, γ = 108.32°
Element x y z (fractional)
Li (0.000, 0.000, 0.000)
Li (0.004, 0.002, 0.494)
Li (0.090, 0.583, 0.381)
Li (0.482, 0.502, 0.234)
Li (0.488, 0.676, 0.848)
Li (0.585, 0.109, 0.635)
Li (0.592, 0.097, 0.134)
Li (0.889, 0.576, 0.701)
Mn (0.237, 0.332, 0.420)
Mn (0.238, 0.835, 0.172)
Mn (0.239, 0.340, 0.916)
Mn (0.241, 0.841, 0.669)
Mn (0.736, 0.335, 0.421)
Mn (0.736, 0.832, 0.171)
Mn (0.739, 0.842, 0.664)
Mn (0.742, 0.342, 0.918)
P (0.151, 0.501, 0.165)
P (0.152, 0.507, 0.663)
P (0.320, 0.175, 0.172)
P (0.323, 0.175, 0.673)
P (0.647, 0.002, 0.412)
P (0.649, 0.001, 0.913)
P (0.823, 0.673, 0.425)
P (0.824, 0.680, 0.921)
H (0.077, 0.876, 0.357)
H (0.080, 0.880, 0.860)
H (0.134, 0.018, 0.293)
H (0.141, 0.021, 0.799)
H (0.344, 0.663, 0.045)
H (0.368, 0.666, 0.542)
H (0.397, 0.800, 0.976)
H (0.420, 0.800, 0.469)
H (0.557, 0.375, 0.613)
H (0.577, 0.375, 0.106)
H (0.608, 0.512, 0.544)
H (0.632, 0.514, 0.041)
H (0.869, 0.168, 0.293)
H (0.872, 0.171, 0.798)
H (0.918, 0.300, 0.218)
H (0.921, 0.305, 0.725)
O (0.011, 0.805, 0.982)
O (0.013, 0.794, 0.469)
O (0.057, 0.915, 0.274)
O (0.067, 0.918, 0.777)
O (0.133, 0.638, 0.212)
O (0.141, 0.649, 0.706)
O (0.189, 0.192, 0.041)
O (0.189, 0.197, 0.546)
O (0.215, 0.509, 0.539)
O (0.234, 0.167, 0.283)
O (0.246, 0.174, 0.787)
O (0.259, 0.510, 0.066)
O (0.273, 0.470, 0.294)
O (0.290, 0.483, 0.784)
O (0.333, 0.032, 0.629)
O (0.349, 0.038, 0.138)
O (0.411, 0.766, 0.062)
O (0.421, 0.768, 0.557)
O (0.455, 0.888, 0.364)
O (0.464, 0.874, 0.858)
O (0.511, 0.297, 0.223)
O (0.524, 0.279, 0.716)
O (0.554, 0.409, 0.526)
O (0.565, 0.411, 0.022)
O (0.624, 0.134, 0.961)
O (0.639, 0.141, 0.467)
O (0.683, 0.691, 0.300)
O (0.700, 0.709, 0.793)
O (0.718, 0.667, 0.020)
O (0.725, 0.012, 0.295)
O (0.732, 0.016, 0.799)
O (0.757, 0.666, 0.547)
O (0.779, 0.970, 0.036)
O (0.782, 0.969, 0.530)
O (0.848, 0.535, 0.386)
O (0.852, 0.547, 0.877)
O (0.911, 0.270, 0.305)
O (0.924, 0.273, 0.812)
O (0.952, 0.402, 0.623)
O (0.959, 0.386, 0.107)

---

[2]
Density functional theory data (GGA+U) for crystalline Li3MnPCO7 at its relaxed geometry.

Output
The calculation puts the energy of formation at -31.3 eV per formula unit. As for the distance to the lowest polymorph of the same formula: 16.0 meV/atom. For the total magnetic moment, the calculation gives 20.01 μB/cell.

a = 8.603 Å, b = 6.483 Å, c = 9.847 Å
α = 90.00°, β = 94.59°, γ = 90.00°
Element x y z (fractional)
Li (0.103, 0.249, 0.113)
Li (0.103, 0.251, 0.613)
Li (0.286, 0.012, 0.883)
Li (0.286, 0.488, 0.383)
Li (0.353, 0.745, 0.610)
Li (0.353, 0.755, 0.110)
Li (0.647, 0.245, 0.890)
Li (0.647, 0.255, 0.390)
Li (0.714, 0.512, 0.617)
Li (0.714, 0.988, 0.117)
Li (0.897, 0.749, 0.387)
Li (0.897, 0.751, 0.887)
Mn (0.268, 0.002, 0.371)
Mn (0.268, 0.498, 0.871)
Mn (0.732, 0.502, 0.129)
Mn (0.732, 0.998, 0.629)
P (0.407, 0.248, 0.140)
P (0.407, 0.252, 0.640)
P (0.593, 0.748, 0.360)
P (0.593, 0.752, 0.860)
C (0.042, 0.748, 0.648)
C (0.042, 0.752, 0.148)
C (0.958, 0.248, 0.852)
C (0.958, 0.252, 0.352)
O (0.070, 0.740, 0.022)
O (0.070, 0.760, 0.522)
O (0.103, 0.250, 0.317)
O (0.103, 0.250, 0.817)
O (0.154, 0.735, 0.744)
O (0.154, 0.765, 0.244)
O (0.307, 0.061, 0.089)
O (0.307, 0.439, 0.589)
O (0.313, 0.059, 0.587)
O (0.313, 0.441, 0.087)
O (0.422, 0.249, 0.300)
O (0.422, 0.251, 0.800)
O (0.426, 0.745, 0.410)
O (0.426, 0.755, 0.910)
O (0.574, 0.245, 0.090)
O (0.574, 0.255, 0.590)
O (0.578, 0.749, 0.200)
O (0.578, 0.751, 0.700)
O (0.687, 0.559, 0.913)
O (0.687, 0.941, 0.413)
O (0.693, 0.561, 0.411)
O (0.693, 0.939, 0.911)
O (0.846, 0.235, 0.756)
O (0.846, 0.265, 0.256)
O (0.897, 0.750, 0.183)
O (0.897, 0.750, 0.683)
O (0.930, 0.240, 0.478)
O (0.930, 0.260, 0.978)

---

[3]
Density functional theory data (GGA+U) for crystalline Li11V6O5F19 at its relaxed geometry.

Output
The calculation puts the energy of formation at -122.4 eV per formula unit. As for the distance to the lowest polymorph of the same formula: 10.3 meV/atom. For the total magnetic moment, the calculation gives 12.00 μB/cell.

a = 5.131 Å, b = 5.460 Å, c = 16.205 Å
α = 98.98°, β = 90.07°, γ = 91.47°
Element x y z (fractional)
Li (0.000, 0.000, 0.000)
Li (0.000, 0.318, 0.657)
Li (0.008, 0.182, 0.201)
Li (0.488, 0.720, 0.210)
Li (0.489, 0.398, 0.543)
Li (0.489, 0.842, 0.659)
Li (0.499, 0.151, 0.323)
Li (0.499, 0.459, 0.987)
Li (0.512, 0.882, 0.896)
Li (0.986, 0.693, 0.329)
Li (0.999, 0.851, 0.532)
V (0.002, 0.594, 0.102)
V (0.496, 0.770, 0.436)
V (0.502, 0.093, 0.103)
V (0.516, 0.419, 0.765)
V (0.985, 0.953, 0.767)
V (0.998, 0.269, 0.434)
O (0.197, 0.579, 0.467)
O (0.201, 0.907, 0.136)
O (0.692, 0.119, 0.730)
O (0.803, 0.955, 0.407)
O (0.807, 0.280, 0.073)
F (0.135, 0.949, 0.650)
F (0.140, 0.258, 0.318)
F (0.156, 0.596, 0.992)
F (0.180, 0.273, 0.798)
F (0.308, 0.095, 0.483)
F (0.312, 0.418, 0.150)
F (0.324, 0.778, 0.790)
F (0.349, 0.792, 0.321)
F (0.358, 0.450, 0.654)
F (0.362, 0.103, 0.985)
F (0.600, 0.521, 0.881)
F (0.642, 0.753, 0.552)
F (0.652, 0.076, 0.217)
F (0.681, 0.441, 0.389)
F (0.687, 0.767, 0.054)
F (0.822, 0.611, 0.722)
F (0.848, 0.285, 0.550)
F (0.849, 0.607, 0.219)
F (0.870, 0.961, 0.882)

---

[4]
Density functional theory data (GGA+U) for crystalline CaV6O11F at its relaxed geometry.

Output
The calculation puts the energy of formation at -47.7 eV per formula unit. As for the distance to the lowest polymorph of the same formula: 6.5 meV/atom. For the total magnetic moment, the calculation gives 9.00 μB/cell.

a = 4.611 Å, b = 4.734 Å, c = 10.727 Å
α = 90.33°, β = 100.11°, γ = 92.12°
Element x y z (fractional)
Ca (0.000, 0.000, 0.000)
V (0.241, 0.040, 0.357)
V (0.380, 0.013, 0.634)
V (0.489, 0.523, 0.907)
V (0.759, 0.445, 0.204)
V (0.813, 0.532, 0.479)
V (0.932, 0.512, 0.744)
O (0.037, 0.524, 0.921)
O (0.055, 0.185, 0.196)
O (0.061, 0.746, 0.627)
O (0.130, 0.227, 0.491)
O (0.272, 0.254, 0.764)
O (0.509, 0.831, 0.495)
O (0.564, 0.302, 0.337)
O (0.617, 0.784, 0.781)
O (0.633, 0.688, 0.068)
O (0.697, 0.304, 0.628)
O (0.978, 0.718, 0.334)
F (0.507, 0.177, 0.014)

---

Question: Among the records above, which one has the lowest distance to the lowest polymorph of the same formula?
Answer: CaV6O11F

---

Question: Which value of total magnetic moment does entry 3 give?
Answer: 12.00 μB/cell

---

Question: Which formula does entry 1 have?
Answer: LiMnPH2O5

---

Question: Among the records above, which one has the lowest energy of formation?
Answer: Li11V6O5F19